A plane-wave DFT calculation with PBE-GGA was carried out for a relaxed structure of MgV4S8.

Values from the calculation:
**Energy of formation**: -1.27 eV per atom
**Distance to the lowest polymorph of the same formula**: 0.0 meV/atom
**Calculated volume**: 241.00 Å³/cell

Cell lengths 6.985, 6.985, 6.984 Å; angles 59.99, 60.03, 60.01 degrees
Fractional coordinates of all 13 atoms:
V1 0.956 0.515 0.515
V2 0.515 0.515 0.515
V3 0.515 0.956 0.515
V4 0.515 0.515 0.956
S1 0.751 0.750 0.751
S2 0.249 0.750 0.750
S3 0.750 0.751 0.248
S4 0.265 0.265 0.265
S5 0.750 0.248 0.751
S6 0.706 0.265 0.265
S7 0.265 0.706 0.265
S8 0.265 0.265 0.706
Mg1 0.125 0.125 0.125

A plane-wave DFT calculation with PBE-GGA was carried out for a relaxed structure of Mg2VW3S8.

Values from the calculation:
**Energy of formation**: -1.03 eV per atom
**Calculated volume**: 262.79 Å³/cell

Cell lengths 7.025, 7.380, 7.014 Å; angles 61.74, 60.01, 61.25 degrees
Fractional coordinates of all 14 atoms:
S1 0.727 0.322 0.725
S2 0.236 0.785 0.241
S3 0.282 0.232 0.280
S4 0.708 0.229 0.281
S5 0.763 0.707 0.264
S6 0.761 0.707 0.766
S7 0.281 0.232 0.706
S8 0.267 0.710 0.763
Mg1 0.858 0.926 0.857
Mg2 0.103 0.194 0.102
W1 0.466 0.509 0.467
W2 0.054 0.511 0.468
W3 0.466 0.510 0.058
V1 0.527 0.927 0.523

A plane-wave DFT calculation with PBE-GGA was carried out for a relaxed structure of Mg2V3WS8.

Values from the calculation:
**Energy of formation**: -1.15 eV per atom
**Calculated volume**: 269.68 Å³/cell

Cell lengths 7.159, 7.153, 7.168 Å; angles 61.79, 61.87, 61.57 degrees
Fractional coordinates of all 14 atoms:
S1 0.263 0.263 0.263
S2 0.260 0.260 0.720
S3 0.740 0.740 0.280
S4 0.280 0.741 0.740
S5 0.720 0.259 0.260
S6 0.737 0.737 0.737
S7 0.259 0.720 0.260
S8 0.741 0.280 0.740
V1 0.000 0.500 0.500
V2 0.500 0.500 0.000
V3 0.500 0.000 0.500
Mg1 0.125 0.126 0.125
Mg2 0.875 0.874 0.875
W1 0.500 0.500 0.500

A plane-wave DFT calculation with PBE-GGA was carried out for a relaxed structure of YMg2V3S8.

Values from the calculation:
**Energy of formation**: -1.46 eV per atom
**Calculated volume**: 290.07 Å³/cell

Cell lengths 7.496, 7.473, 7.478 Å; angles 59.15, 59.11, 59.02 degrees
Fractional coordinates of all 14 atoms:
Y1 0.500 0.500 0.500
V1 0.000 0.500 0.500
V2 0.500 0.000 0.500
V3 0.500 0.500 0.000
S1 0.245 0.245 0.723
S2 0.262 0.260 0.263
S3 0.723 0.246 0.245
S4 0.277 0.754 0.755
S5 0.246 0.723 0.246
S6 0.755 0.755 0.277
S7 0.754 0.277 0.754
S8 0.738 0.740 0.737
Mg1 0.126 0.126 0.126
Mg2 0.874 0.874 0.874

A plane-wave DFT calculation with PBE-GGA was carried out for a relaxed structure of MgW2S4.

Values from the calculation:
**Energy of formation**: -0.68 eV per atom
**Calculated volume**: 267.73 Å³/cell

Cell lengths 7.234, 7.234, 7.235 Å; angles 60.01, 60.01, 60.00 degrees
Fractional coordinates of all 14 atoms:
Mg1 0.875 0.875 0.875
Mg2 0.125 0.125 0.125
S1 0.259 0.259 0.259
S2 0.259 0.724 0.259
S3 0.259 0.259 0.724
S4 0.276 0.741 0.741
S5 0.724 0.259 0.259
S6 0.741 0.276 0.741
S7 0.741 0.741 0.276
S8 0.741 0.741 0.741
W1 0.500 0.000 0.500
W2 0.500 0.500 0.000
W3 0.500 0.500 0.500
W4 0.000 0.500 0.500

A plane-wave DFT calculation with PBE-GGA was carried out for a relaxed structure of YMg2W3S8.

Values from the calculation:
**Energy of formation**: -1.01 eV per atom
**Calculated volume**: 295.22 Å³/cell

Cell lengths 7.457, 7.457, 7.453 Å; angles 60.31, 60.28, 60.39 degrees
Fractional coordinates of all 14 atoms:
S1 0.725 0.245 0.245
S2 0.245 0.245 0.725
S3 0.262 0.262 0.262
S4 0.245 0.725 0.245
S5 0.755 0.755 0.275
S6 0.738 0.738 0.738
S7 0.275 0.755 0.755
S8 0.755 0.275 0.755
W1 0.500 0.500 0.000
W2 0.500 0.000 0.500
W3 0.000 0.500 0.500
Y1 0.500 0.500 0.500
Mg1 0.875 0.875 0.875
Mg2 0.125 0.125 0.125

A plane-wave DFT calculation with PBE-GGA was carried out for a relaxed structure of YMgWS4.

Values from the calculation:
**Energy of formation**: -1.39 eV per atom
**Calculated volume**: 313.30 Å³/cell

Cell lengths 7.674, 7.610, 7.610 Å; angles 60.16, 59.72, 59.72 degrees
Fractional coordinates of all 14 atoms:
W1 0.500 0.000 0.500
W2 0.500 0.500 0.000
Mg1 0.874 0.876 0.876
Mg2 0.126 0.124 0.124
S1 0.715 0.755 0.754
S2 0.267 0.732 0.234
S3 0.267 0.234 0.732
S4 0.733 0.766 0.268
S5 0.276 0.754 0.755
S6 0.733 0.268 0.766
S7 0.724 0.246 0.245
S8 0.285 0.245 0.246
Y1 0.000 0.500 0.500
Y2 0.500 0.500 0.500

A plane-wave DFT calculation with PBE-GGA was carried out for a relaxed structure of Y2MgS4.

Values from the calculation:
**Energy of formation**: -2.11 eV per atom
**Distance to the lowest polymorph of the same formula**: 61.0 meV/atom
**Calculated volume**: 656.34 Å³/cell

Cell lengths 3.854, 12.628, 13.485 Å; angles 90.00, 90.00, 90.00 degrees
Fractional coordinates of all 28 atoms:
Y1 0.250 0.139 0.705
Y2 0.250 0.618 0.425
Y3 0.250 0.639 0.795
Y4 0.250 0.118 0.075
Y5 0.750 0.861 0.295
Y6 0.750 0.382 0.575
Y7 0.750 0.882 0.925
Y8 0.750 0.361 0.205
S1 0.750 0.275 0.749
S2 0.250 0.737 0.984
S3 0.250 0.225 0.249
S4 0.250 0.991 0.385
S5 0.750 0.263 0.016
S6 0.750 0.472 0.383
S7 0.250 0.528 0.617
S8 0.750 0.972 0.117
S9 0.750 0.009 0.615
S10 0.250 0.491 0.115
S11 0.750 0.509 0.885
S12 0.250 0.028 0.883
S13 0.750 0.763 0.484
S14 0.250 0.725 0.251
S15 0.750 0.775 0.751
S16 0.250 0.237 0.516
Mg1 0.750 0.611 0.048
Mg2 0.250 0.389 0.952
Mg3 0.750 0.111 0.452
Mg4 0.250 0.889 0.548